A plane-wave DFT calculation with PBE with a Hubbard U was carried out for a relaxed structure of LaMoI4O15.

Computed properties:
For the total energy after the MP2020 corrections, the calculation gives -250.2 eV/cell. For the magnetization, the calculation gives 1.0 μB/f.u. As for the formation energy from the elements: -1380 meV per atom. The value obtained for the total energy is -5.313 eV per atom.

Cell lengths 14.3803, 7.1439, 7.2436 Å; angles 65.05, 90.00, 90.00 degrees
Fractional positions:
O1 0.0781 0.7423 0.8301
O2 0.2830 0.6048 0.9459
O3 0.1596 0.4079 0.7911
O4 0.2709 0.4788 0.3948
O5 0.5326 0.0456 0.9098
O6 0.5273 0.5731 0.4954
O7 0.9680 0.3970 0.8863
O8 0.4053 0.9048 0.2737
O9 0.7709 0.5212 0.6052
O10 0.9440 0.7714 0.5477
O11 0.9360 0.2347 0.3129
O12 0.5781 0.2577 0.1699
O13 0.7830 0.3952 0.0541
O14 0.7248 0.0688 0.9189
O15 0.2248 0.9312 0.0811
O16 0.4360 0.7653 0.6871
O17 0.2699 0.0387 0.6071
O18 0.0273 0.4269 0.5046
O19 0.4680 0.6030 0.1137
O20 0.1308 0.7651 0.4468
O21 0.6308 0.2349 0.5532
O22 0.3454 0.2924 0.8501
O23 0.8454 0.7076 0.1499
O24 0.1560 0.2532 0.2730
O25 0.4440 0.2286 0.4523
O26 0.7699 0.9613 0.3929
O27 0.6560 0.7468 0.7270
O28 0.9053 0.0952 0.7263
O29 0.6596 0.5921 0.2089
O30 0.0326 0.9544 0.0902
Mo1 0.0371 0.5926 0.7055
Mo2 0.5371 0.4074 0.2945
La1 0.3744 0.9276 0.9132
La2 0.8744 0.0724 0.0868
I1 0.1252 0.7644 0.1884
I2 0.5025 0.8437 0.4523
I3 0.0025 0.1563 0.5477
I4 0.6252 0.2356 0.8116
I5 0.7792 0.7563 0.6502
I6 0.2773 0.5273 0.7337
I7 0.2792 0.2437 0.3498
I8 0.7773 0.4727 0.2663